# 1
MgMn6O7F5, relaxed, DFT PBE+U; DFT formation energy = -2317 meV/atom; energy relative to the lowest polymorph listed for this composition = 0.088 eV per atom; symmetry = P1, No. 1; E = -6.72 eV per atom; calculated volume = 244 Å³ per cell
1.0
4.1563 2.6475 1.6763
4.8409 -6.2496 1.4160
0.6495 0.7162 -6.0011
Mg Mn O F
1 6 7 5
direct
0.4877 0.9995 0.9633
0.5846 0.0266 0.4794
0.5145 0.6485 0.1778
0.5075 0.3554 0.8085
0.9711 0.6677 0.6844
0.9826 0.3215 0.3420
0.9760 0.9948 0.0067
0.7952 0.8010 0.9357
0.7831 0.0906 0.2468
0.6823 0.1176 0.7975
0.6999 0.7696 0.4655
0.6936 0.4298 0.1178
0.2911 0.5733 0.8884
0.3241 0.2302 0.5255
0.7959 0.4336 0.6301
0.3408 0.8936 0.1893
0.1524 0.5565 0.4234
0.1993 0.1850 0.0528
0.1906 0.9053 0.7531

# 2
MgMn4O4F4, relaxed, DFT PBE+U; DFT formation energy = -2527 meV/atom; energy relative to the lowest polymorph listed for this composition = 0.000 eV per atom; symmetry = P1, No. 1; E = -6.71 eV per atom; calculated volume = 167 Å³ per cell
1.0
5.3935 0.1122 0.3803
0.0627 5.2141 0.7707
-0.4869 0.8992 6.0465
Mg Mn O F
1 4 4 4
direct
0.2694 0.5214 0.1150
0.2439 0.4360 0.6527
0.0430 0.0248 0.2410
0.7715 0.8889 0.7718
0.7776 0.5312 0.3588
0.1386 0.2625 0.9687
0.0980 0.2767 0.4067
0.9275 0.7456 0.5215
0.9328 0.7648 0.0890
0.4167 0.7276 0.8191
0.4014 0.7233 0.3218
0.6277 0.2847 0.6468
0.6144 0.3263 0.1914

# 3
MgMn6O7F5, relaxed, DFT PBE+U; DFT formation energy = -2354 meV/atom; energy relative to the lowest polymorph listed for this composition = 0.052 eV per atom; symmetry = P1, No. 1; E = -6.76 eV per atom; calculated volume = 237 Å³ per cell
1.0
-0.2205 4.4766 2.6218
2.9827 3.0922 -6.6279
-5.6468 1.5217 -1.0302
Mg Mn O F
1 6 7 5
direct
0.5174 0.8398 0.8108
0.4310 0.0197 0.4150
0.5107 0.6556 0.1784
0.5377 0.3275 0.8407
0.0179 0.6539 0.6795
0.8234 0.3343 0.3394
0.0000 0.9869 0.9958
0.8434 0.4330 0.6644
0.8053 0.7590 0.9557
0.7961 0.0721 0.2756
0.6399 0.4363 0.1234
0.4394 0.2427 0.5532
0.3422 0.8663 0.1645
0.2059 0.8971 0.6878
0.7015 0.0721 0.8238
0.6710 0.7486 0.4920
0.3367 0.5919 0.8470
0.1752 0.5638 0.3590
0.2052 0.2161 0.0204

# 4
MgMn6O7F5, relaxed, DFT PBE+U; DFT formation energy = -2389 meV/atom; energy relative to the lowest polymorph listed for this composition = 0.017 eV per atom; symmetry = P1, No. 1; E = -6.79 eV per atom; calculated volume = 227 Å³ per cell
1.0
-5.7059 5.4636 2.9629
-0.5839 4.9533 -3.0511
-5.1748 0.5797 -3.0452
Mg Mn O F
1 6 7 5
direct
0.6698 0.3477 0.8276
0.8959 0.6870 0.7221
0.6788 0.3182 0.3312
0.3213 0.6612 0.6593
0.1379 0.3066 0.3055
0.4782 0.9684 0.9861
0.0166 0.0170 0.9816
0.6912 0.0683 0.6752
0.3616 0.3519 0.9711
0.9470 0.2537 0.1795
0.0624 0.7566 0.8262
0.2981 0.9439 0.3440
0.6448 0.6006 0.0065
0.9660 0.3073 0.6736
0.3097 0.9234 0.8481
0.5999 0.6126 0.5278
0.7131 0.0559 0.1337
0.4077 0.3827 0.4629
0.0409 0.6989 0.2997

# 5
MgMn6O11F, relaxed, DFT PBE+U; DFT formation energy = -2011 meV/atom; energy relative to the lowest polymorph listed for this composition = 0.002 eV per atom; symmetry = Pm, No. 6; E = -7.01 eV per atom; calculated volume = 213 Å³ per cell
1.0
-3.4066 11.3561 0.0964
-5.2254 -3.6924 0.1144
0.0680 -0.0047 2.9559
Mg Mn O F
1 6 11 1
direct
0.8295 0.6647 0.0000
0.0594 0.0208 0.0000
0.3399 0.1739 0.5000
0.0433 0.5019 0.5000
0.6271 0.3347 0.0000
0.3324 0.6701 0.0000
0.6168 0.8410 0.5000
0.1655 0.0751 0.5000
0.0218 0.2969 0.0000
0.3432 0.3701 0.0000
0.0067 0.6789 0.0000
0.6441 0.0463 0.0000
0.5203 0.2754 0.5000
0.2215 0.6062 0.5000
0.4427 0.7356 0.5000
0.7502 0.4300 0.5000
0.6523 0.6667 0.0000
0.3372 0.9787 0.0000
0.8899 0.8933 0.5000

# 6
MgMn6O11F, relaxed, DFT PBE+U; DFT formation energy = -1975 meV/atom; energy relative to the lowest polymorph listed for this composition = 0.038 eV per atom; symmetry = Pm, No. 6; E = -6.97 eV per atom; calculated volume = 220 Å³ per cell
1.0
3.9566 -9.6784 0.0000
5.4171 5.5853 0.0000
0.0000 0.0000 2.9461
Mg Mn O F
1 6 11 1
direct
0.8412 0.1734 0.5000
0.0041 0.9517 0.0000
0.3311 0.1438 0.5000
0.0015 0.5324 0.5000
0.6534 0.3656 0.0000
0.3288 0.7217 0.0000
0.6512 0.7768 0.5000
0.1285 0.0524 0.5000
0.9758 0.3427 0.0000
0.3361 0.2980 0.0000
0.0019 0.6883 0.0000
0.5332 0.2441 0.5000
0.2005 0.6119 0.5000
0.4600 0.7565 0.5000
0.7877 0.4036 0.5000
0.6469 0.6237 0.0000
0.3238 0.9727 0.0000
0.8685 0.9278 0.5000
0.7009 0.0379 0.0000